No. 1
This record from the Materials Project describes a relaxed structure of Na14Al4Si9Ge4S3O48. The functional is GGA-PBE.

Results
Crystal system: triclinic

Cell: 17.552 8.764 21.557 Å, 90.07 89.36 120.01°
Fractional positions:
O1 0.578 0.457 0.974
Ge1 0.328 0.352 0.185
Na1 0.672 0.046 0.416
Na2 0.481 0.673 0.915
Si1 0.684 0.333 0.086
Si2 0.361 0.723 0.250
Al1 0.825 0.323 0.484
O2 0.062 0.489 0.861
O3 0.825 0.157 0.425
Na3 0.827 0.335 0.831
Na4 0.652 0.972 0.080
O4 0.923 0.820 0.590
O5 0.578 0.180 0.410
O6 0.250 0.124 0.645
O7 0.432 0.360 0.645
O8 0.749 0.639 0.581
O9 0.182 0.845 0.576
Al2 0.502 0.005 0.353
Na5 0.002 0.999 0.001
Si3 0.814 0.960 0.418
O10 0.761 0.835 0.752
Na6 0.819 0.007 0.253
Al3 0.836 0.350 0.190
O11 0.842 0.153 0.025
O12 0.247 0.384 0.144
Si4 0.648 0.296 0.753
O13 0.933 0.356 0.924
O14 0.423 0.809 0.309
O15 0.322 0.139 0.139
Si5 0.359 0.999 0.751
Na7 0.147 0.964 0.080
O16 0.747 0.370 0.145
O17 0.079 0.204 0.689
Na8 0.332 0.695 0.082
O18 0.431 0.354 0.927
Al4 0.180 0.675 0.812
O19 0.351 0.522 0.245
Si6 0.861 0.005 0.750
Na9 0.831 0.326 0.333
O20 0.414 0.033 0.086
O21 0.584 0.153 0.094
O22 0.746 0.109 0.644
O23 0.089 0.021 0.593
O24 0.106 0.048 0.310
O25 0.408 0.971 0.408
Na10 0.500 0.369 0.743
S1 0.521 0.377 0.918
O26 0.821 0.493 0.922
O27 0.267 0.823 0.478
O28 0.078 0.454 0.973
O29 0.988 0.166 0.585
O30 0.242 0.316 0.740
S2 0.022 0.378 0.916
O31 0.015 0.827 0.412
O32 0.409 0.849 0.914
O33 0.027 0.202 0.192
O34 0.753 0.870 0.081
Si7 0.149 0.002 0.251
O35 0.767 0.710 0.979
Al5 0.500 0.986 0.850
Na11 0.835 0.693 0.087
O36 0.090 0.956 0.188
Na12 0.848 0.667 0.419
O37 0.755 0.364 0.419
O38 0.678 0.504 0.354
O39 0.342 0.531 0.525
O40 0.646 0.825 0.979
O41 0.182 0.857 0.856
O42 0.079 0.701 0.471
O43 0.079 0.514 0.578
O44 0.910 0.971 0.413
Si8 0.859 0.719 0.251
Al6 0.682 0.690 0.315
Si9 0.143 0.290 0.750
O45 0.677 0.840 0.575
Na13 0.665 0.664 0.665
O46 0.513 0.199 0.194
Na14 0.502 0.639 0.251
Si10 0.312 0.669 0.918
O47 0.578 0.647 0.079
O48 0.766 0.825 0.478
S3 0.336 0.055 0.083
O49 0.688 0.867 0.857
O50 0.578 0.698 0.471
O51 0.761 0.698 0.254
O52 0.412 0.797 0.583
O53 0.721 0.285 0.024
O54 0.248 0.624 0.858
O55 0.247 0.184 0.240
O56 0.561 0.637 0.359
Si11 0.839 0.619 0.583
Na15 0.667 0.292 0.911
Si12 0.810 0.668 0.916
O57 0.413 0.518 0.024
O58 0.981 0.173 0.313
Na16 0.327 0.318 0.334
Na17 0.163 0.669 0.667
O59 0.557 0.486 0.862
O60 0.743 0.168 0.241
Na18 0.178 0.360 0.254
O61 0.226 0.289 0.023
O62 0.414 0.301 0.522
Na19 0.999 0.630 0.247
O63 0.920 0.534 0.750
O64 0.146 0.469 0.478
Si13 0.168 0.380 0.417
O65 0.087 0.151 0.090
O66 0.725 0.162 0.523
Si14 0.500 0.709 0.751
O67 0.016 0.824 0.697
O68 0.744 0.304 0.744
O69 0.088 0.489 0.257
O70 0.078 0.690 0.757
O71 0.323 0.512 0.638
S4 0.023 0.667 0.415
O72 0.823 0.133 0.138
Al7 0.335 0.320 0.689
Na20 0.160 0.657 0.167
Na21 0.689 0.372 0.254
Na22 0.502 0.003 0.999
Na23 0.001 0.364 0.744
O73 0.265 0.706 0.979
O74 0.652 0.487 0.759
O75 0.902 0.846 0.188
O76 0.935 0.508 0.421
O77 0.081 0.184 0.412
O78 0.912 0.027 0.083
Al8 0.001 0.997 0.851
O79 0.751 0.881 0.358
O80 0.146 0.827 0.978
Na24 0.167 0.043 0.415
Na25 0.170 0.295 0.910
O81 0.260 0.690 0.251
O82 0.913 0.309 0.241
Na26 0.335 0.978 0.587
O83 0.680 0.516 0.076
O84 0.346 0.171 0.748
O85 0.575 0.462 0.253
O86 0.417 0.299 0.246
Si15 0.182 0.333 0.082
O87 0.258 0.367 0.424
O88 0.902 0.971 0.687
S5 0.999 0.712 0.752
Na27 0.318 0.629 0.750
Ge2 0.679 0.682 0.807
O89 0.189 0.508 0.355
Si16 0.976 0.615 0.083
Ge3 0.665 0.663 0.020
Na28 0.848 0.028 0.911
Ge4 0.164 0.667 0.520
O90 0.578 0.506 0.577
O91 0.849 0.183 0.745
Si17 0.187 0.038 0.585
Ge5 0.673 0.658 0.526
Si18 0.647 0.997 0.252
O92 0.924 0.811 0.310
Si19 0.977 0.345 0.582
Si20 0.668 0.956 0.917
O93 0.846 0.521 0.247
Ge6 0.825 0.314 0.682
O94 0.402 0.839 0.185
Ge7 0.506 0.982 0.148
O95 0.988 0.793 0.810
O96 0.486 0.155 0.588
Si21 0.682 0.031 0.582
Na29 0.330 0.336 0.829
Al9 0.324 0.336 0.980
S6 0.835 0.053 0.082
O97 0.323 0.494 0.924
Na30 0.483 0.294 0.426
O98 0.178 0.515 0.075
O99 0.154 0.820 0.257
O100 0.432 0.510 0.422
O101 0.987 0.817 0.088
O102 0.258 0.148 0.923
O103 0.932 0.503 0.144
Ge8 0.161 0.661 0.019
O104 0.915 0.307 0.523
Na31 0.149 0.328 0.582
Si22 0.477 0.610 0.082
O105 0.934 0.370 0.647
Al10 0.822 0.339 0.982
Na32 0.665 0.659 0.168
S7 0.523 0.667 0.416
Na33 0.348 0.028 0.909
O106 0.908 0.844 0.909
S8 0.497 0.281 0.250
Na34 0.833 0.968 0.583
O107 0.486 0.180 0.307
Si23 0.311 0.952 0.416
Al11 0.324 0.307 0.482
S9 0.335 0.617 0.582
O108 0.584 0.945 0.189
Ge9 0.510 0.019 0.652
Ge10 0.009 0.001 0.152
O109 0.921 0.039 0.811
Al12 0.000 0.015 0.351
O110 0.242 0.865 0.358
Si24 0.477 0.337 0.583
Na35 0.188 0.006 0.750
Si25 0.666 0.379 0.414
Ge11 0.998 0.012 0.641
O111 0.741 0.620 0.859
O112 0.013 0.200 0.913
O113 0.758 0.150 0.924
Na36 0.979 0.286 0.420
Ge12 0.178 0.676 0.308
O114 0.485 0.811 0.086
O115 0.344 0.154 0.026
O116 0.063 0.636 0.359
O117 0.850 0.534 0.519
Na37 0.349 0.668 0.415
O118 0.225 0.159 0.523
O119 0.149 0.483 0.758
O120 0.600 0.040 0.310
O121 0.100 0.162 0.811
O122 0.321 0.149 0.421
O123 0.260 0.822 0.753
O124 0.513 0.201 0.914
O125 0.080 0.978 0.912
O126 0.413 0.517 0.742
O127 0.253 0.634 0.581
O128 0.602 0.165 0.812
O129 0.587 0.222 0.690
O130 0.433 0.496 0.147
Na38 0.999 0.994 0.501
O131 0.079 0.650 0.077
O132 0.651 0.815 0.259
O133 0.526 0.852 0.694
O134 0.480 0.786 0.814
Na39 0.652 0.333 0.582
Si26 0.000 0.290 0.251
Na40 0.681 0.997 0.749
O135 0.513 0.828 0.411
O136 0.421 0.033 0.811
O137 0.589 0.689 0.758
O138 0.915 0.526 0.021
O139 0.581 0.979 0.913
O140 0.645 0.463 0.477
O141 0.587 0.024 0.590
O142 0.402 0.958 0.689
Na41 0.504 0.007 0.502
Na42 0.981 0.673 0.922
Si27 0.167 0.955 0.915
O143 0.814 0.484 0.642
O144 0.255 0.874 0.083

No. 2
This record from the Materials Project describes a relaxed structure of Na6Al4Si5Ge4S7O48. The functional is GGA-PBE.

Results
Crystal system: triclinic

Cell: 17.068 8.551 21.928 Å, 90.12 90.06 120.27°
Fractional positions:
Si1 0.687 0.327 0.083
Na1 0.664 0.301 0.917
O1 0.413 0.022 0.088
Na2 0.669 0.660 0.164
O2 0.938 0.512 0.142
O3 0.610 0.039 0.306
O4 0.939 0.367 0.638
Si2 0.195 0.342 0.083
O5 0.750 0.637 0.577
O6 0.647 0.468 0.478
O7 0.852 0.173 0.744
Na3 0.500 0.003 0.000
O8 0.178 0.518 0.072
O9 0.568 0.500 0.579
O10 0.918 0.011 0.090
O11 0.146 0.826 0.979
Al1 0.828 0.315 0.986
Na4 0.330 0.327 0.836
O12 0.980 0.788 0.810
Na5 0.000 0.633 0.253
Na6 0.002 0.006 0.999
Si3 0.664 0.376 0.417
Na7 0.166 0.027 0.423
S1 0.020 0.376 0.916
O13 0.348 0.165 0.745
Si4 0.022 0.658 0.416
O14 0.903 0.834 0.912
O15 0.749 0.370 0.143
O16 0.821 0.133 0.420
O17 0.254 0.877 0.363
O18 0.480 0.791 0.805
O19 0.323 0.141 0.423
S2 0.167 0.379 0.416
O20 0.740 0.171 0.244
O21 0.319 0.128 0.138
O22 0.252 0.635 0.861
Ge1 0.668 0.653 0.024
S3 0.810 0.952 0.414
Ge2 0.827 0.340 0.479
O23 0.905 0.964 0.689
O24 0.102 0.032 0.305
O25 0.590 0.961 0.196
O26 0.741 0.308 0.742
Na8 0.170 0.680 0.666
O27 0.756 0.136 0.641
O28 0.402 0.831 0.907
O29 0.571 0.192 0.691
Ge3 0.999 0.982 0.849
O30 0.347 0.524 0.244
O31 0.931 0.368 0.924
O32 0.247 0.354 0.420
O33 0.239 0.309 0.744
O34 0.598 0.161 0.811
O35 0.679 0.839 0.571
Al2 0.502 0.015 0.853
O36 0.920 0.301 0.527
Si5 0.334 0.626 0.584
O37 0.682 0.871 0.862
O38 0.422 0.367 0.928
Na9 0.999 0.997 0.503
O39 0.174 0.847 0.579
O40 0.775 0.702 0.973
Na10 0.176 0.666 0.166
O41 0.774 0.842 0.470
Al3 0.667 0.657 0.810
Na11 0.999 0.366 0.750
O42 0.253 0.369 0.143
O43 0.485 0.803 0.089
O44 0.274 0.847 0.472
O45 0.317 0.507 0.644
O46 0.078 0.456 0.973
O47 0.027 0.839 0.690
O48 0.579 0.695 0.757
O49 0.985 0.170 0.305
O50 0.648 0.478 0.756
O51 0.426 0.806 0.310
O52 0.085 0.193 0.406
O53 0.082 0.959 0.196
Al4 0.167 0.686 0.813
O54 0.525 0.213 0.190
O55 0.150 0.453 0.471
O56 0.420 0.540 0.028
Al5 0.825 0.311 0.695
O57 0.356 0.547 0.523
O58 0.923 0.479 0.427
S4 0.649 0.005 0.251
S5 0.332 0.046 0.084
O59 0.852 0.549 0.526
Na12 0.675 0.679 0.670
O60 0.011 0.197 0.912
Ge4 0.327 0.316 0.977
Si6 0.643 0.283 0.750
O61 0.685 0.503 0.358
O62 0.986 0.169 0.588
O63 0.068 0.494 0.576
O64 0.479 0.169 0.310
O65 0.922 0.540 0.030
O66 0.068 0.633 0.354
S6 0.149 0.294 0.751
O67 0.897 0.824 0.194
Ge5 0.665 0.663 0.520
O68 0.075 0.981 0.909
O69 0.927 0.047 0.811
O70 0.412 0.031 0.805
O71 0.184 0.864 0.859
O72 0.351 0.155 0.028
O73 0.063 0.486 0.861
Si7 0.000 0.705 0.749
O74 0.914 0.509 0.738
S7 0.476 0.622 0.083
O75 0.159 0.474 0.760
O76 0.736 0.168 0.521
O77 0.438 0.364 0.640
Ge6 0.500 0.018 0.149
O78 0.757 0.819 0.762
Na13 0.502 0.997 0.502
O79 0.903 0.974 0.406
O80 0.081 0.468 0.257
O81 0.151 0.838 0.257
S8 0.520 0.664 0.416
O82 0.274 0.706 0.972
O83 0.320 0.507 0.921
O84 0.748 0.140 0.921
O85 0.183 0.492 0.361
O86 0.767 0.698 0.257
O87 0.593 0.023 0.588
Si8 0.355 0.720 0.251
O88 0.585 0.139 0.091
O89 0.730 0.300 0.021
Si9 0.163 0.950 0.916
S9 0.477 0.334 0.584
O90 0.563 0.641 0.360
Na14 0.338 0.341 0.330
Si10 0.695 0.047 0.583
O91 0.659 0.843 0.260
O92 0.510 0.181 0.910
O93 0.753 0.868 0.360
O94 0.229 0.160 0.520
O95 0.987 0.803 0.091
S10 0.667 0.950 0.916
O96 0.916 0.798 0.304
S11 0.354 0.997 0.750
O97 0.392 0.965 0.694
Ge7 0.001 0.016 0.139
Na15 0.828 0.331 0.338
Al6 0.332 0.344 0.490
Al7 0.170 0.665 0.317
O98 0.855 0.170 0.023
O99 0.250 0.133 0.643
Si11 0.521 0.384 0.916
Si12 0.499 0.294 0.249
O100 0.817 0.126 0.144
O101 0.566 0.504 0.856
O102 0.255 0.698 0.261
O103 0.575 0.169 0.409
S12 0.311 0.669 0.914
O104 0.586 0.499 0.258
Al8 0.996 0.989 0.356
Si13 0.830 0.042 0.082
O105 0.264 0.833 0.758
S13 0.856 0.714 0.250
O106 0.584 0.970 0.911
O107 0.418 0.523 0.744
S14 0.833 0.620 0.584
O108 0.431 0.495 0.423
O109 0.754 0.356 0.423
O110 0.233 0.162 0.243
O111 0.675 0.505 0.079
S15 0.144 0.003 0.250
O112 0.088 0.677 0.758
O113 0.014 0.842 0.407
O114 0.739 0.843 0.073
O115 0.652 0.845 0.972
O116 0.849 0.533 0.244
O117 0.249 0.862 0.078
O118 0.511 0.826 0.412
O119 0.237 0.303 0.022
O120 0.513 0.819 0.695
Al9 0.821 0.313 0.178
O121 0.085 0.033 0.590
S16 0.999 0.284 0.251
O122 0.919 0.309 0.245
Si14 0.856 0.990 0.751
O123 0.485 0.171 0.587
Na16 0.832 0.332 0.827
Ge8 0.001 0.982 0.650
O124 0.438 0.511 0.139
O125 0.578 0.699 0.472
O126 0.914 0.806 0.587
O127 0.090 0.220 0.696
O128 0.755 0.631 0.864
Ge9 0.165 0.681 0.527
O129 0.253 0.151 0.923
Si15 0.187 0.050 0.584
Al10 0.324 0.334 0.680
O130 0.110 0.180 0.807
Al11 0.334 0.351 0.189
O131 0.410 0.312 0.239
Ge10 0.167 0.664 0.016
O132 0.404 0.842 0.189
S17 0.313 0.958 0.417
O133 0.016 0.207 0.195
Ge11 0.509 0.999 0.642
O134 0.092 0.708 0.474
O135 0.421 0.833 0.594
O136 0.402 0.971 0.411
Ge12 0.499 0.016 0.350
O137 0.241 0.638 0.572
O138 0.820 0.512 0.637
Na17 0.501 0.363 0.752
O139 0.093 0.158 0.091
O140 0.823 0.505 0.924
O141 0.421 0.308 0.528
O142 0.590 0.472 0.975
S18 0.977 0.619 0.085
S19 0.498 0.711 0.751
O143 0.069 0.638 0.080
S20 0.975 0.330 0.583
S21 0.813 0.667 0.917
Na18 0.499 0.634 0.250
O144 0.567 0.642 0.077
Al12 0.664 0.646 0.315

We obtain energy of formation from the pure elements values of -2596 -2374 meV/atom for the records listed above, in that order.
We obtain E values of -1591.84 -1433.05 eV per cell for the records listed above, in that order.